{"formula": "Ba2Cu7As6O24", "functional": "PBE", "state": "relaxed", "lattice": [[5.3141, 0.0000, 0.0000], [0.6076, 8.5614, 0.0000], [0.1782, 0.0879, 11.5771]], "species": ["O", "O", "O", "O", "O", "O", "O", "O", "O", "O", "O", "O", "O", "O", "O", "O", "O", "O", "O", "O", "O", "O", "O", "O", "As", "As", "As", "As", "As", "As", "Ba", "Ba", "Cu", "Cu", "Cu", "Cu", "Cu", "Cu", "Cu"], "frac_coords": [[0.3937, 0.7428, 0.7412], [0.2355, 0.6215, 0.0153], [0.1782, 0.0129, 0.8514], [0.6033, 0.6698, 0.1826], [0.6988, 0.5028, 0.3985], [0.7930, 0.6053, 0.6153], [0.8218, 0.9871, 0.1486], [0.8082, 0.9428, 0.6888], [0.3967, 0.3302, 0.8174], [0.2782, 0.0924, 0.6268], [0.2070, 0.3947, 0.3847], [0.7218, 0.9076, 0.3732], [0.6063, 0.2572, 0.2588], [0.1204, 0.7370, 0.2793], [0.6868, 0.7585, 0.9509], [0.3132, 0.2415, 0.0491], [0.6917, 0.0747, 0.9146], [0.6160, 0.2126, 0.5037], [0.3012, 0.4972, 0.6015], [0.3083, 0.9253, 0.0854], [0.3840, 0.7874, 0.4963], [0.1918, 0.0572, 0.3112], [0.7645, 0.3785, 0.9847], [0.8796, 0.2630, 0.7207], [0.0234, 0.0749, 0.7223], [0.9766, 0.9251, 0.2777], [0.5387, 0.2615, 0.9442], [0.4761, 0.6613, 0.6103], [0.4613, 0.7385, 0.0558], [0.5239, 0.3387, 0.3897], [0.0027, 0.4490, 0.1748], [0.9973, 0.5510, 0.8252], [0.5242, 0.2709, 0.6668], [0.4589, 0.0813, 0.1826], [0.0000, 0.0000, 0.0000], [0.4758, 0.7291, 0.3332], [0.5000, 0.0000, 0.5000], [0.0000, 0.5000, 0.5000], [0.5411, 0.9187, 0.8174]], "energy_corrected_mp2020_ev_per_atom": -6.2292, "crystal_system": "triclinic"}

{"formula": "BaCu2As2O8", "functional": "PBE", "state": "relaxed", "lattice": [[-5.6471, 4.2879, 5.3404], [-2.8720, 0.8350, -3.7074], [-6.9947, -6.9961, -1.7792]], "species": ["O", "O", "O", "O", "O", "O", "O", "O", "O", "O", "O", "O", "O", "O", "O", "O", "As", "As", "As", "As", "Ba", "Ba", "Cu", "Cu", "Cu", "Cu"], "frac_coords": [[0.9162, 0.0835, 0.7191], [0.7255, 0.3127, 0.9238], [0.6317, 0.3852, 0.6382], [0.4015, 0.2743, 0.9625], [0.0985, 0.2743, 0.4625], [0.5838, 0.0835, 0.2191], [0.2255, 0.6873, 0.5762], [0.9015, 0.7257, 0.5375], [0.4162, 0.9165, 0.7809], [0.3683, 0.6148, 0.3618], [0.1317, 0.6148, 0.8618], [0.0838, 0.9165, 0.2809], [0.7745, 0.3127, 0.4238], [0.2745, 0.6873, 0.0762], [0.8683, 0.3852, 0.1382], [0.5985, 0.7257, 0.0375], [0.1843, 0.6266, 0.4219], [0.8157, 0.3734, 0.5781], [0.3157, 0.6266, 0.9219], [0.6843, 0.3734, 0.0781], [0.5000, 0.0000, 0.5000], [0.0000, 0.0000, 0.0000], [0.4176, 0.8949, 0.1524], [0.0824, 0.8949, 0.6524], [0.9176, 0.1051, 0.3476], [0.5824, 0.1051, 0.8476]], "energy_corrected_mp2020_ev_per_atom": -6.3320, "crystal_system": "monoclinic"}

{"formula": "BaAs2F12", "functional": "PBE", "state": "relaxed", "lattice": [[-6.3587, 7.6735, 2.5572], [-5.7376, -6.5720, 5.4537], [5.7009, 1.9445, 8.3410]], "species": ["F", "F", "F", "F", "F", "F", "F", "F", "F", "F", "F", "F", "F", "F", "F", "F", "F", "F", "F", "F", "F", "F", "F", "F", "F", "F", "F", "F", "F", "F", "F", "F", "F", "F", "F", "F", "F", "F", "F", "F", "F", "F", "F", "F", "F", "F", "F", "F", "As", "As", "As", "As", "As", "As", "As", "As", "Ba", "Ba", "Ba", "Ba"], "frac_coords": [[0.1295, 0.2990, 0.8705], [0.6366, 0.8120, 0.6366], [0.7010, 0.1295, 0.1295], [0.3634, 0.8120, 0.3634], [0.8120, 0.3634, 0.3634], [0.6366, 0.6366, 0.8120], [0.3634, 0.1880, 0.6366], [0.1880, 0.6366, 0.6366], [0.8705, 0.8705, 0.7010], [0.8705, 0.8705, 0.2990], [0.1295, 0.7010, 0.1295], [0.6366, 0.1880, 0.3634], [0.2990, 0.1295, 0.8705], [0.8705, 0.1295, 0.2990], [0.8120, 0.3634, 0.6366], [0.1880, 0.3634, 0.3634], [0.1295, 0.8705, 0.7010], [0.3634, 0.6366, 0.1880], [0.7010, 0.8705, 0.1295], [0.8705, 0.7010, 0.1295], [0.6366, 0.3634, 0.1880], [0.1295, 0.1295, 0.2990], [0.7010, 0.1295, 0.8705], [0.8705, 0.2990, 0.8705], [0.1295, 0.7010, 0.8705], [0.3634, 0.8120, 0.6366], [0.8705, 0.2990, 0.1295], [0.2990, 0.8705, 0.1295], [0.3634, 0.6366, 0.8120], [0.6366, 0.3634, 0.8120], [0.1880, 0.3634, 0.6366], [0.8705, 0.7010, 0.8705], [0.6366, 0.6366, 0.1880], [0.8705, 0.1295, 0.7010], [0.8120, 0.6366, 0.6366], [0.6366, 0.1880, 0.6366], [0.1295, 0.2990, 0.1295], [0.1880, 0.6366, 0.3634], [0.6366, 0.8120, 0.3634], [0.3634, 0.3634, 0.8120], [0.1295, 0.1295, 0.7010], [0.1295, 0.8705, 0.2990], [0.8120, 0.6366, 0.3634], [0.3634, 0.1880, 0.3634], [0.3634, 0.3634, 0.1880], [0.2990, 0.8705, 0.8705], [0.7010, 0.8705, 0.8705], [0.2990, 0.1295, 0.1295], [0.7500, 0.7500, 0.2500], [0.7500, 0.2500, 0.2500], [0.2500, 0.7500, 0.7500], [0.2500, 0.2500, 0.2500], [0.7500, 0.2500, 0.7500], [0.2500, 0.7500, 0.2500], [0.7500, 0.7500, 0.7500], [0.2500, 0.2500, 0.7500], [0.0000, 0.5000, 0.0000], [0.5000, 0.0000, 0.0000], [0.0000, 0.0000, 0.0000], [0.0000, 0.0000, 0.5000]], "energy_corrected_mp2020_ev_per_atom": -5.0714, "crystal_system": "cubic"}

{"formula": "BaFe2As2", "functional": "PBE", "state": "relaxed", "lattice": [[-0.4606, -2.6845, -2.8404], [0.8429, -6.3527, 3.1448], [-7.7722, 1.3461, -0.0096]], "species": ["Fe", "Fe", "Fe", "Fe", "As", "As", "As", "As", "Ba", "Ba"], "frac_coords": [[0.2492, 0.5014, 0.1177], [0.7481, 0.5034, 0.3759], [0.2519, 0.4966, 0.6242], [0.7508, 0.4986, 0.8821], [0.3458, 0.3076, 0.3272], [0.6541, 0.6924, 0.6728], [0.3533, 0.2933, 0.8178], [0.6467, 0.7067, 0.1822], [0.0000, 0.0000, 0.4999], [0.0000, 0.0000, 0.0000]], "crystal_system": "monoclinic", "energy_ry_per_atom": -0.4533}

{"formula": "BaFe2As2", "functional": "PBE", "state": "relaxed", "lattice": [[0.0000, 0.0000, 5.6004], [6.4449, 2.8474, 0.0000], [0.0006, 5.6934, 0.0000]], "species": ["Fe", "Fe", "Fe", "Fe", "As", "As", "As", "As", "Ba", "Ba"], "frac_coords": [[0.7501, 0.5000, 0.0000], [0.2501, 0.5000, 0.5000], [0.2499, 0.5000, 0.0000], [0.7499, 0.5000, 0.5000], [0.9999, 0.2987, 0.3507], [0.9999, 0.7013, 0.6493], [0.5001, 0.2987, 0.8508], [0.5001, 0.7013, 0.1492], [0.5000, 0.0000, 0.5000], [0.0000, 0.0000, 0.0000]], "energy_ry_per_atom": -0.4556}

{"formula": "BaFeAs2Ru", "functional": "PBE", "state": "relaxed", "lattice": [[6.8037, 0.8160, -1.1899], [4.9360, 3.1035, 3.7916], [-5.3332, -4.4638, 0.0503]], "species": ["Fe", "As", "As", "Ba", "Ru"], "frac_coords": [[0.7500, 0.2500, 0.5000], [0.6510, 0.6510, 0.0000], [0.3490, 0.3490, 0.0000], [0.0000, 0.0000, 0.0000], [0.2500, 0.7500, 0.5000]], "crystal_system": "tetragonal", "energy_ry_per_atom": -0.4693}